An optimized crystal structure of PmZnAg2. Source: the Materials Project, functional PBE-GGA.

Computed properties:
Symmetry: No. 225
Calculated total energy (eV/atom): -3.139
Formation enthalpy at 0 K (eV/atom): -0.220

a = 4.9392 Å, b = 4.9392 Å, c = 4.9392 Å
α = 60.00°, β = 60.00°, γ = 60.00°
Element x y z (fractional)
Pm: 0.5000 0.5000 0.5000
Zn: 0.0000 0.0000 0.0000
Ag: 0.2500 0.2500 0.2500
Ag: 0.7500 0.7500 0.7500

---

An optimized crystal structure of PmZn2Ag. Source: the Materials Project, functional PBE-GGA.

Computed properties:
Symmetry: No. 225
Calculated total energy (eV/atom): -2.826
Formation enthalpy at 0 K (eV/atom): -0.300

a = 4.8279 Å, b = 4.8279 Å, c = 4.8279 Å
α = 60.00°, β = 60.00°, γ = 60.00°
Element x y z (fractional)
Ag: 0.0000 0.0000 0.0000
Zn: 0.2500 0.2500 0.2500
Zn: 0.7500 0.7500 0.7500
Pm: 0.5000 0.5000 0.5000

---

An optimized crystal structure of PrAg. Source: the Materials Project, functional PBE-GGA.

Computed properties:
Symmetry: No. 221
Calculated total energy (eV/atom): -4.051
Formation enthalpy at 0 K (eV/atom): -0.244

a = 3.7964 Å, b = 3.7964 Å, c = 3.7964 Å
α = 90.00°, β = 90.00°, γ = 90.00°
Element x y z (fractional)
Ag: 0.5000 0.5000 0.5000
Pr: 0.0000 0.0000 0.0000